DFT (PBE) results for a relaxed structure of Cs3TaS4.

The calculation puts the energy of formation from the pure elements at -1556 meV/atom.

It has space group Pnma (No. 62), with a = 10.078 Å, b = 11.833 Å, c = 10.199 Å, α = 90.00°, β = 90.00° and γ = 90.00°. The distinct sites, in fractional coordinates, are Cs at (0.050, 0.042, 0.211), Cs at (0.145, 0.750, 0.420), Ta at (0.221, 0.750, 0.985), S at (0.012, 0.750, 0.074), S at (0.168, 0.090, 0.549) and S at (0.204, 0.750, 0.761).